# 1
Entry from Materials Project: a relaxed Na6Ta6Ga2Si9S3O48 crystal (PBE).

Geometry as CIF:
```
data_Na6Ta6Ga2Si9S3O48
_chemical_formula_sum 'Na18 Ta18 Ga6 Si27 S9 O144'
_space_group_name_H-M_alt 'P 1'
_space_group_IT_number 1
_cell_length_a 17.755
_cell_length_b 8.872
_cell_length_c 22.704
_cell_angle_alpha 90.07
_cell_angle_beta 90.08
_cell_angle_gamma 119.98
loop_
_space_group_symop_operation_xyz
'x,y,z'
loop_
_atom_site_label
_atom_site_fract_x
_atom_site_fract_y
_atom_site_fract_z
Na1 0.321 0.014 0.250
Na2 0.684 0.367 0.246
Na3 0.493 0.619 0.250
Na4 0.821 0.628 0.749
Na5 0.994 0.367 0.748
Na6 0.186 0.007 0.743
Na7 0.003 0.010 0.499
Na8 0.505 0.999 0.495
Na9 0.005 0.015 0.993
Na10 0.503 0.997 0.998
Na11 0.339 0.334 0.830
Na12 0.830 0.323 0.826
Na13 0.330 0.341 0.331
Na14 0.839 0.343 0.335
Na15 0.167 0.657 0.166
Na16 0.672 0.670 0.165
Na17 0.174 0.674 0.663
Na18 0.661 0.669 0.662
Ta1 0.002 0.986 0.358
Ta2 0.502 0.018 0.856
Ta3 0.998 0.992 0.644
Ta4 0.499 0.013 0.640
Ta5 0.000 0.998 0.144
Ta6 0.498 0.003 0.144
Ta7 0.330 0.341 0.976
Ta8 0.829 0.314 0.977
Ta9 0.335 0.346 0.481
Ta10 0.829 0.316 0.476
Ta11 0.166 0.655 0.015
Ta12 0.660 0.666 0.027
Ta13 0.160 0.653 0.527
Ta14 0.660 0.669 0.517
Ta15 0.165 0.661 0.313
Ta16 0.669 0.658 0.316
Ta17 0.169 0.680 0.814
Ta18 0.662 0.666 0.810
Ga1 0.497 0.999 0.356
Ga2 0.998 0.997 0.854
Ga3 0.336 0.320 0.675
Ga4 0.831 0.309 0.691
Ga5 0.331 0.354 0.192
Ga6 0.829 0.340 0.180
Si1 0.147 0.005 0.249
Si2 0.358 0.716 0.253
Si3 0.857 0.703 0.248
Si4 0.498 0.286 0.252
Si5 0.647 0.285 0.748
Si6 0.998 0.712 0.752
Si7 0.357 0.011 0.748
Si8 0.858 0.000 0.753
Si9 0.478 0.341 0.583
Si10 0.970 0.328 0.588
Si11 0.190 0.047 0.584
Si12 0.692 0.047 0.586
Si13 0.333 0.616 0.589
Si14 0.470 0.613 0.088
Si15 0.834 0.050 0.088
Si16 0.191 0.336 0.086
Si17 0.690 0.334 0.084
Si18 0.313 0.672 0.914
Si19 0.019 0.366 0.913
Si20 0.523 0.384 0.918
Si21 0.161 0.957 0.919
Si22 0.664 0.948 0.916
Si23 0.811 0.950 0.417
Si24 0.168 0.377 0.417
Si25 0.662 0.365 0.419
Si26 0.023 0.660 0.419
Si27 0.518 0.672 0.413
S1 0.646 0.002 0.249
S2 0.997 0.285 0.250
S3 0.146 0.290 0.750
S4 0.496 0.711 0.751
S5 0.832 0.619 0.584
S6 0.978 0.621 0.083
S7 0.331 0.043 0.084
S8 0.810 0.666 0.918
S9 0.309 0.953 0.418
O1 0.097 0.030 0.306
O2 0.608 0.033 0.302
O3 0.422 0.807 0.308
O4 0.917 0.805 0.306
O5 0.484 0.162 0.307
O6 0.987 0.183 0.303
O7 0.107 0.183 0.803
O8 0.599 0.166 0.807
O9 0.490 0.797 0.805
O10 0.984 0.805 0.808
O11 0.417 0.026 0.806
O12 0.921 0.038 0.809
O13 0.402 0.973 0.692
O14 0.903 0.964 0.694
O15 0.089 0.208 0.697
O16 0.582 0.192 0.693
O17 0.020 0.842 0.694
O18 0.514 0.817 0.698
O19 0.403 0.842 0.194
O20 0.903 0.829 0.191
O21 0.013 0.207 0.196
O22 0.520 0.198 0.193
O23 0.082 0.973 0.193
O24 0.590 0.973 0.196
O25 0.443 0.377 0.643
O26 0.936 0.370 0.648
O27 0.240 0.115 0.647
O28 0.751 0.134 0.643
O29 0.314 0.493 0.645
O30 0.821 0.526 0.639
O31 0.435 0.502 0.147
O32 0.942 0.521 0.138
O33 0.320 0.114 0.139
O34 0.821 0.144 0.144
O35 0.250 0.369 0.143
O36 0.743 0.369 0.146
O37 0.234 0.305 0.026
O38 0.741 0.311 0.028
O39 0.414 0.522 0.028
O40 0.925 0.542 0.030
O41 0.345 0.149 0.031
O42 0.849 0.170 0.027
O43 0.237 0.170 0.527
O44 0.735 0.167 0.527
O45 0.349 0.531 0.528
O46 0.847 0.541 0.531
O47 0.417 0.307 0.525
O48 0.914 0.306 0.528
O49 0.266 0.696 0.973
O50 0.767 0.688 0.970
O51 0.082 0.470 0.971
O52 0.585 0.475 0.975
O53 0.152 0.832 0.975
O54 0.656 0.835 0.974
O55 0.267 0.845 0.469
O56 0.766 0.833 0.474
O57 0.156 0.477 0.473
O58 0.653 0.473 0.474
O59 0.086 0.696 0.475
O60 0.581 0.695 0.470
O61 0.070 0.639 0.359
O62 0.568 0.642 0.355
O63 0.256 0.870 0.361
O64 0.750 0.862 0.358
O65 0.181 0.501 0.358
O66 0.681 0.491 0.358
O67 0.067 0.494 0.856
O68 0.570 0.502 0.860
O69 0.180 0.868 0.860
O70 0.682 0.861 0.858
O71 0.249 0.636 0.858
O72 0.757 0.637 0.863
O73 0.014 0.835 0.411
O74 0.510 0.844 0.409
O75 0.396 0.969 0.412
O76 0.908 0.978 0.407
O77 0.079 0.190 0.407
O78 0.576 0.179 0.409
O79 0.009 0.177 0.910
O80 0.514 0.192 0.911
O81 0.076 0.973 0.910
O82 0.579 0.970 0.909
O83 0.409 0.839 0.908
O84 0.896 0.821 0.913
O85 0.487 0.164 0.587
O86 0.985 0.158 0.593
O87 0.092 0.024 0.591
O88 0.593 0.019 0.593
O89 0.420 0.808 0.593
O90 0.914 0.800 0.588
O91 0.486 0.812 0.093
O92 0.987 0.799 0.088
O93 0.412 0.024 0.088
O94 0.920 0.028 0.093
O95 0.092 0.164 0.092
O96 0.593 0.159 0.090
O97 0.340 0.176 0.745
O98 0.848 0.171 0.748
O99 0.232 0.312 0.744
O100 0.746 0.326 0.743
O101 0.421 0.536 0.748
O102 0.914 0.520 0.744
O103 0.348 0.526 0.248
O104 0.843 0.506 0.243
O105 0.414 0.307 0.243
O106 0.922 0.310 0.243
O107 0.245 0.164 0.242
O108 0.734 0.156 0.243
O109 0.319 0.495 0.921
O110 0.818 0.508 0.924
O111 0.426 0.356 0.926
O112 0.929 0.369 0.925
O113 0.252 0.141 0.926
O114 0.751 0.145 0.923
O115 0.316 0.125 0.420
O116 0.819 0.142 0.422
O117 0.252 0.353 0.422
O118 0.753 0.361 0.425
O119 0.426 0.489 0.421
O120 0.926 0.494 0.425
O121 0.176 0.507 0.076
O122 0.680 0.505 0.074
O123 0.068 0.646 0.078
O124 0.570 0.644 0.077
O125 0.254 0.864 0.077
O126 0.750 0.857 0.076
O127 0.179 0.854 0.574
O128 0.681 0.853 0.575
O129 0.250 0.645 0.575
O130 0.756 0.646 0.577
O131 0.070 0.496 0.578
O132 0.578 0.506 0.575
O133 0.154 0.828 0.258
O134 0.651 0.838 0.253
O135 0.262 0.704 0.257
O136 0.759 0.682 0.256
O137 0.080 0.463 0.255
O138 0.587 0.484 0.255
O139 0.149 0.463 0.754
O140 0.655 0.479 0.760
O141 0.087 0.690 0.756
O142 0.579 0.694 0.757
O143 0.259 0.833 0.757
O144 0.762 0.819 0.759
```

Output
SG: P1, No. 1



# 2
Entry from Materials Project: a relaxed Na14Ta2Ga6Si9S3O48 crystal (PBE).

Geometry as CIF:
```
data_Na14Ta2Ga6Si9S3O48
_chemical_formula_sum 'Na42 Ta6 Ga18 Si27 S9 O144'
_space_group_name_H-M_alt 'P 1'
_space_group_IT_number 1
_cell_length_a 17.941
_cell_length_b 8.988
_cell_length_c 22.036
_cell_angle_alpha 89.80
_cell_angle_beta 90.22
_cell_angle_gamma 119.97
loop_
_space_group_symop_operation_xyz
'x,y,z'
loop_
_atom_site_label
_atom_site_fract_x
_atom_site_fract_y
_atom_site_fract_z
Na1 0.814 0.002 0.246
Na2 0.689 0.372 0.246
Na3 0.501 0.623 0.247
Na4 0.313 0.624 0.746
Na5 0.996 0.370 0.749
Na6 0.187 0.005 0.745
Na7 0.153 0.340 0.583
Na8 0.656 0.344 0.585
Na9 0.018 0.696 0.584
Na10 0.515 0.688 0.583
Na11 0.327 0.969 0.585
Na12 0.831 0.968 0.586
Na13 0.153 0.964 0.081
Na14 0.656 0.966 0.079
Na15 0.330 0.691 0.081
Na16 0.828 0.689 0.082
Na17 0.014 0.341 0.080
Na18 0.519 0.345 0.078
Na19 0.485 0.668 0.916
Na20 0.982 0.658 0.912
Na21 0.355 0.044 0.913
Na22 0.855 0.050 0.915
Na23 0.163 0.297 0.916
Na24 0.665 0.294 0.922
Na25 0.482 0.308 0.417
Na26 0.984 0.299 0.421
Na27 0.164 0.036 0.426
Na28 0.665 0.029 0.420
Na29 0.352 0.656 0.422
Na30 0.854 0.665 0.416
Na31 0.003 0.001 0.500
Na32 0.502 0.995 0.500
Na33 0.001 0.008 0.995
Na34 0.503 0.005 0.994
Na35 0.341 0.335 0.825
Na36 0.834 0.328 0.828
Na37 0.333 0.331 0.333
Na38 0.842 0.348 0.326
Na39 0.164 0.662 0.161
Na40 0.668 0.666 0.165
Na41 0.166 0.669 0.666
Na42 0.668 0.671 0.665
Ta1 0.999 0.998 0.648
Ta2 0.496 0.993 0.646
Ta3 0.997 0.000 0.145
Ta4 0.506 0.012 0.144
Ta5 0.159 0.649 0.314
Ta6 0.663 0.678 0.811
Ga1 0.001 0.999 0.351
Ga2 0.506 0.002 0.346
Ga3 0.000 0.017 0.840
Ga4 0.502 0.004 0.850
Ga5 0.336 0.332 0.686
Ga6 0.838 0.338 0.683
Ga7 0.338 0.318 0.177
Ga8 0.837 0.340 0.187
Ga9 0.342 0.336 0.990
Ga10 0.837 0.325 0.984
Ga11 0.336 0.349 0.487
Ga12 0.841 0.346 0.493
Ga13 0.160 0.646 0.024
Ga14 0.658 0.663 0.022
Ga15 0.158 0.654 0.523
Ga16 0.661 0.676 0.525
Ga17 0.659 0.659 0.306
Ga18 0.157 0.656 0.806
Si1 0.650 0.003 0.252
Si2 0.854 0.705 0.255
Si3 0.998 0.287 0.252
Si4 0.492 0.284 0.254
Si5 0.149 0.294 0.752
Si6 0.994 0.705 0.755
Si7 0.497 0.707 0.752
Si8 0.354 0.002 0.756
Si9 0.851 0.003 0.750
Si10 0.476 0.335 0.581
Si11 0.979 0.333 0.583
Si12 0.191 0.046 0.582
Si13 0.693 0.053 0.582
Si14 0.330 0.620 0.583
Si15 0.830 0.621 0.582
Si16 0.478 0.623 0.085
Si17 0.976 0.616 0.082
Si18 0.329 0.033 0.081
Si19 0.830 0.041 0.084
Si20 0.195 0.333 0.084
Si21 0.695 0.342 0.082
Si22 0.022 0.375 0.916
Si23 0.518 0.371 0.919
Si24 0.667 0.965 0.920
Si25 0.166 0.368 0.420
Si26 0.017 0.666 0.420
Si27 0.522 0.669 0.414
S1 0.149 0.003 0.251
S2 0.353 0.710 0.251
S3 0.648 0.293 0.751
S4 0.310 0.664 0.918
S5 0.812 0.668 0.917
S6 0.167 0.958 0.918
S7 0.313 0.954 0.415
S8 0.810 0.956 0.416
S9 0.666 0.376 0.416
O1 0.108 0.020 0.307
O2 0.606 0.039 0.311
O3 0.405 0.791 0.306
O4 0.913 0.799 0.315
O5 0.480 0.167 0.315
O6 0.988 0.174 0.312
O7 0.108 0.175 0.812
O8 0.607 0.191 0.807
O9 0.486 0.800 0.812
O10 0.985 0.801 0.815
O11 0.413 0.027 0.815
O12 0.909 0.038 0.811
O13 0.403 0.972 0.695
O14 0.899 0.974 0.691
O15 0.083 0.197 0.693
O16 0.592 0.211 0.696
O17 0.011 0.831 0.694
O18 0.515 0.833 0.692
O19 0.394 0.814 0.196
O20 0.904 0.836 0.195
O21 0.017 0.200 0.192
O22 0.507 0.185 0.195
O23 0.094 0.972 0.196
O24 0.582 0.969 0.194
O25 0.435 0.380 0.638
O26 0.939 0.375 0.642
O27 0.250 0.127 0.642
O28 0.755 0.139 0.639
O29 0.312 0.503 0.643
O30 0.808 0.491 0.638
O31 0.438 0.506 0.145
O32 0.936 0.491 0.139
O33 0.306 0.110 0.139
O34 0.812 0.120 0.144
O35 0.258 0.372 0.142
O36 0.749 0.371 0.143
O37 0.232 0.292 0.022
O38 0.730 0.292 0.022
O39 0.418 0.551 0.024
O40 0.916 0.550 0.021
O41 0.358 0.160 0.022
O42 0.858 0.162 0.023
O43 0.230 0.167 0.521
O44 0.730 0.168 0.519
O45 0.359 0.558 0.522
O46 0.855 0.555 0.520
O47 0.417 0.284 0.519
O48 0.920 0.286 0.522
O49 0.271 0.691 0.973
O50 0.772 0.692 0.973
O51 0.083 0.455 0.977
O52 0.579 0.455 0.979
O53 0.159 0.855 0.973
O54 0.647 0.839 0.978
O55 0.274 0.852 0.470
O56 0.771 0.850 0.472
O57 0.149 0.460 0.476
O58 0.656 0.458 0.471
O59 0.081 0.705 0.477
O60 0.584 0.714 0.474
O61 0.070 0.639 0.360
O62 0.566 0.633 0.355
O63 0.257 0.864 0.361
O64 0.758 0.872 0.361
O65 0.182 0.503 0.360
O66 0.678 0.480 0.361
O67 0.067 0.501 0.857
O68 0.572 0.502 0.861
O69 0.181 0.878 0.863
O70 0.682 0.863 0.861
O71 0.259 0.645 0.863
O72 0.756 0.647 0.863
O73 0.010 0.840 0.412
O74 0.508 0.842 0.408
O75 0.400 0.970 0.410
O76 0.899 0.978 0.414
O77 0.080 0.180 0.410
O78 0.585 0.201 0.414
O79 0.011 0.178 0.911
O80 0.509 0.181 0.912
O81 0.088 0.971 0.915
O82 0.579 0.980 0.910
O83 0.399 0.818 0.916
O84 0.899 0.823 0.913
O85 0.489 0.165 0.592
O86 0.989 0.160 0.588
O87 0.093 0.023 0.589
O88 0.595 0.033 0.590
O89 0.419 0.818 0.590
O90 0.918 0.814 0.590
O91 0.486 0.815 0.092
O92 0.990 0.814 0.092
O93 0.416 0.013 0.092
O94 0.919 0.021 0.090
O95 0.097 0.158 0.092
O96 0.594 0.166 0.089
O97 0.341 0.166 0.747
O98 0.842 0.173 0.744
O99 0.243 0.311 0.745
O100 0.731 0.310 0.746
O101 0.411 0.524 0.745
O102 0.912 0.514 0.747
O103 0.342 0.538 0.247
O104 0.841 0.516 0.247
O105 0.410 0.315 0.246
O106 0.913 0.302 0.246
O107 0.234 0.158 0.246
O108 0.742 0.173 0.246
O109 0.318 0.505 0.921
O110 0.818 0.510 0.918
O111 0.423 0.361 0.921
O112 0.927 0.361 0.921
O113 0.245 0.134 0.921
O114 0.754 0.153 0.920
O115 0.319 0.124 0.415
O116 0.818 0.128 0.419
O117 0.254 0.355 0.419
O118 0.743 0.352 0.418
O119 0.426 0.494 0.420
O120 0.923 0.487 0.421
O121 0.180 0.499 0.080
O122 0.678 0.504 0.077
O123 0.075 0.650 0.076
O124 0.574 0.649 0.081
O125 0.247 0.841 0.072
O126 0.750 0.845 0.076
O127 0.178 0.852 0.576
O128 0.678 0.857 0.579
O129 0.250 0.655 0.575
O130 0.747 0.650 0.573
O131 0.075 0.501 0.580
O132 0.575 0.499 0.575
O133 0.159 0.846 0.257
O134 0.654 0.826 0.253
O135 0.267 0.701 0.255
O136 0.759 0.694 0.258
O137 0.088 0.484 0.255
O138 0.583 0.469 0.253
O139 0.154 0.481 0.753
O140 0.654 0.466 0.756
O141 0.085 0.699 0.753
O142 0.585 0.690 0.755
O143 0.259 0.823 0.759
O144 0.758 0.819 0.756
```

Output
SG: P1, No. 1



Number 1: formation energy from the elements -2852 meV per atom. Number 2: formation energy from the elements -2580 meV per atom.